# Cr2NiO4, relaxed, DFT r²SCAN
data_Cr2NiO4
_cell_length_a 10.146
_cell_length_b 5.843
_cell_length_c 5.923
_cell_angle_alpha 90.00
_cell_angle_beta 124.29
_cell_angle_gamma 90.00
_space_group_name_H-M_alt 'C 1 2 1'
_space_group_IT_number 5
loop_
_space_group_symop_operation_xyz
'x,y,z'
'-x,y,-z'
'x+1/2,y+1/2,z'
'-x+1/2,y+1/2,-z'
loop_
_atom_site_label
_atom_site_fract_x
_atom_site_fract_y
_atom_site_fract_z
Cr1 0.000 0.000 0.000
Cr2 0.000 0.000 0.500
Cr3 0.250 0.250 0.000
Ni1 0.127 0.500 0.384
O1 0.012 0.230 0.763
O2 0.012 0.770 0.763
O3 0.235 0.001 0.210
O4 0.239 0.000 0.759
# ΔH_f (0 K): -2.014 eV per atom
# final energy: -320.5 eV per cell
# magnetic moment: 32.0 μB/cell